Computed, not measured: an optimized crystal structure of Li2V3CrO8 at the PBE+U level of DFT.

a = 6.4283 Å, b = 6.4283 Å, c = 6.4945 Å
α = 106.37°, β = 106.37°, γ = 36.55°
Last column: nearest neighbours and their distance in Å.
Fractional coordinates of all 14 atoms:
Li  0.0000  0.0000  0.0000  5 O 2.02-2.15
Li  0.1133  0.1133  0.7039  5 O 2.02-2.16
V  0.4484  0.4484  0.6322  1 O 1.71
V  0.6682  0.6682  0.0705  1 O 1.69
V  0.7688  0.7688  0.6607  6 O 1.97-2.14
Cr  0.3456  0.3456  0.0411  6 O 1.97-2.11
O  0.1781  0.1781  0.0292  2 Li 2.02-2.13, 1 Cr 2.02, 2 V 2.04
O  0.2896  0.2896  0.7011  3 V 2.04-2.12, 1 Cr 2.11, 1 Li 2.16
O  0.4079  0.4079  0.3570  1 V 1.71
O  0.4981  0.4981  0.9849  2 V 1.98-2.19, 1 Cr 2.00, 2 Li 2.02
O  0.6168  0.6168  0.7107  2 V 1.97-1.98, 2 Li 2.02
O  0.7066  0.7066  0.3434  1 V 1.69
O  0.8249  0.8249  0.0050  2 Cr 2.04, 2 V 2.08-2.14, 1 Li 2.15
O  0.9389  0.9389  0.6722  2 Li 2.04-2.08, 3 V 2.04-2.06

Calculated values
Distance to the lowest polymorph of the same formula = 0.96 eV per formula unit
Energy relative to the elements = -33.9 eV/f.u.
Calculated volume = 153 Å³ per cell
Total DFT energy (no corrections) = -101.57 eV for the cell shown